No. 1
LiCrPO4F: optimized geometry, PBE+U.

a = 7.264 Å, b = 7.264 Å, c = 9.561 Å
α = 115.77°, β = 115.77°, γ = 51.73°
Sites, in units of the cell vectors:
Li 0.109 0.891 0.500
Li 0.331 0.814 0.819
Li 0.814 0.331 0.319
Li 0.891 0.109 0.000
Cr 0.154 0.419 0.193
Cr 0.419 0.154 0.693
Cr 0.553 0.880 0.345
Cr 0.880 0.553 0.845
P 0.355 0.580 0.022
P 0.580 0.355 0.522
P 0.693 0.931 0.139
P 0.931 0.693 0.639
O 0.065 0.788 0.642
O 0.085 0.449 0.693
O 0.174 0.541 0.041
O 0.206 0.806 0.962
O 0.347 0.512 0.406
O 0.449 0.085 0.193
O 0.512 0.347 0.906
O 0.528 0.600 0.187
O 0.541 0.174 0.541
O 0.600 0.528 0.687
O 0.644 0.775 0.972
O 0.758 0.855 0.760
O 0.775 0.644 0.472
O 0.788 0.065 0.142
O 0.806 0.206 0.462
O 0.855 0.758 0.260
F 0.053 0.280 0.249
F 0.280 0.053 0.749
F 0.316 0.983 0.462
F 0.983 0.316 0.962

Output
Space-group type ... No. 9



No. 2
SrPrGdNiO6: optimized geometry, PBE+U.

a = 5.721 Å, b = 5.721 Å, c = 5.721 Å
α = 60.00°, β = 60.00°, γ = 60.00°
Sites, in units of the cell vectors:
Sr 0.000 0.000 0.000
Pr 0.500 0.500 0.500
Gd 0.750 0.750 0.750
Ni 0.250 0.250 0.250
O 0.020 0.020 0.480
O 0.020 0.480 0.020
O 0.020 0.480 0.480
O 0.480 0.020 0.020
O 0.480 0.020 0.480
O 0.480 0.480 0.020

Output
Space-group type ... No. 216



No. 3
MgMo2Rh4O12: optimized geometry, PBE+U.

a = 4.755 Å, b = 4.755 Å, c = 9.468 Å
α = 90.00°, β = 90.00°, γ = 90.00°
Sites, in units of the cell vectors:
Mg 0.000 0.000 0.000
Mo 0.000 0.500 0.739
Mo 0.500 0.000 0.261
Rh 0.000 0.500 0.089
Rh 0.000 0.500 0.417
Rh 0.500 0.000 0.583
Rh 0.500 0.000 0.911
O 0.195 0.306 0.584
O 0.195 0.311 0.912
O 0.201 0.296 0.251
O 0.296 0.799 0.749
O 0.306 0.805 0.416
O 0.311 0.805 0.088
O 0.689 0.195 0.088
O 0.694 0.195 0.416
O 0.704 0.201 0.749
O 0.799 0.704 0.251
O 0.805 0.689 0.912
O 0.805 0.694 0.584

Output
Space-group type ... No. 81



No. 4
MgMn2P2O8F2: optimized geometry, PBE+U.

a = 5.232 Å, b = 5.473 Å, c = 7.318 Å
α = 106.12°, β = 107.58°, γ = 97.49°
Sites, in units of the cell vectors:
Mg 0.000 0.000 0.000
Mn 0.020 0.683 0.307
Mn 0.495 0.174 0.779
P 0.440 0.772 0.043
P 0.594 0.564 0.544
O 0.272 0.834 0.189
O 0.276 0.507 0.433
O 0.348 0.969 0.927
O 0.351 0.489 0.911
O 0.654 0.341 0.632
O 0.705 0.833 0.718
O 0.729 0.542 0.382
O 0.761 0.862 0.150
F 0.158 0.020 0.556
F 0.862 0.313 0.018

Output
Space-group type ... No. 1



No. 5
Na4MgCo2O6: optimized geometry, PBE+U.

a = 6.455 Å, b = 6.455 Å, c = 5.915 Å
α = 95.79°, β = 95.79°, γ = 56.37°
Sites, in units of the cell vectors:
Na 0.000 0.000 0.000
Na 0.000 0.000 0.500
Na 0.230 0.230 0.271
Na 0.770 0.770 0.729
Mg 0.500 0.500 0.500
Co 0.325 0.325 0.775
Co 0.675 0.675 0.225
O 0.181 0.629 0.663
O 0.190 0.190 0.879
O 0.371 0.819 0.337
O 0.629 0.181 0.663
O 0.810 0.810 0.121
O 0.819 0.371 0.337

Output
Space-group type ... No. 12



No. 6
RbW3O9: optimized geometry, PBE+U.

a = 7.529 Å, b = 7.780 Å, c = 7.531 Å
α = 90.00°, β = 119.82°, γ = 90.00°
Sites, in units of the cell vectors:
Rb 0.000 0.000 0.000
Rb 0.000 0.498 0.000
W 0.000 0.250 0.500
W 0.000 0.750 0.500
W 0.500 0.250 0.000
W 0.500 0.250 0.500
W 0.500 0.750 0.000
W 0.500 0.750 0.500
O 0.000 0.507 0.500
O 0.000 0.994 0.500
O 0.211 0.251 0.422
O 0.211 0.750 0.421
O 0.212 0.750 0.792
O 0.216 0.250 0.797
O 0.421 0.250 0.212
O 0.421 0.750 0.211
O 0.500 0.000 0.500
O 0.500 0.501 0.500
O 0.500 0.502 0.000
O 0.500 0.999 0.000
O 0.579 0.250 0.788
O 0.579 0.750 0.789
O 0.784 0.250 0.203
O 0.788 0.750 0.208
O 0.789 0.251 0.578
O 0.789 0.750 0.579

Output
Space-group type ... No. 3



No. 7
LiCoW2O8: optimized geometry, PBE+U.

a = 4.983 Å, b = 5.609 Å, c = 5.869 Å
α = 69.90°, β = 89.17°, γ = 65.68°
Sites, in units of the cell vectors:
Li 0.000 0.000 0.000
Co 0.531 0.943 0.696
W 0.305 0.415 0.045
W 0.769 0.459 0.376
O 0.213 0.224 0.383
O 0.275 0.191 0.894
O 0.324 0.717 0.789
O 0.366 0.654 0.250
O 0.713 0.223 0.164
O 0.743 0.166 0.644
O 0.781 0.685 0.528
O 0.868 0.663 0.040

Output
Space-group type ... No. 1
Piezoelectric modulus e_max ... 1.188 C/m2



No. 8
NaFeP2O6F2: optimized geometry, PBE+U.

a = 6.553 Å, b = 14.408 Å, c = 6.567 Å
α = 90.00°, β = 96.05°, γ = 90.00°
Sites, in units of the cell vectors:
Na 0.190 0.077 0.004
Na 0.190 0.423 0.504
Na 0.810 0.577 0.496
Na 0.810 0.923 0.996
Fe 0.229 0.609 0.865
Fe 0.229 0.891 0.365
Fe 0.771 0.109 0.635
Fe 0.771 0.391 0.135
P 0.255 0.106 0.519
P 0.255 0.394 0.019
P 0.271 0.655 0.369
P 0.271 0.845 0.869
P 0.729 0.155 0.131
P 0.729 0.345 0.631
P 0.745 0.606 0.981
P 0.745 0.894 0.481
O 0.086 0.101 0.662
O 0.086 0.399 0.162
O 0.190 0.598 0.541
O 0.190 0.902 0.041
O 0.198 0.745 0.856
O 0.198 0.755 0.356
O 0.240 0.032 0.351
O 0.240 0.468 0.851
O 0.247 0.602 0.169
O 0.247 0.898 0.669
O 0.465 0.117 0.638
O 0.465 0.383 0.138
O 0.535 0.617 0.862
O 0.535 0.883 0.362
O 0.753 0.102 0.331
O 0.753 0.398 0.831
O 0.760 0.532 0.149
O 0.760 0.968 0.649
O 0.802 0.245 0.644
O 0.802 0.255 0.144
O 0.810 0.098 0.959
O 0.810 0.402 0.459
O 0.914 0.601 0.838
O 0.914 0.899 0.338
F 0.213 0.200 0.392
F 0.213 0.300 0.892
F 0.486 0.161 0.070
F 0.486 0.339 0.570
F 0.514 0.661 0.430
F 0.514 0.839 0.930
F 0.787 0.700 0.108
F 0.787 0.800 0.608

Output
Space-group type ... No. 14



No. 9
Ag4Mo2Se3O16: optimized geometry, PBE+U.

a = 5.785 Å, b = 16.161 Å, c = 16.108 Å
α = 90.00°, β = 90.00°, γ = 90.00°
Sites, in units of the cell vectors:
Ag 0.168 0.003 0.077
Ag 0.168 0.003 0.423
Ag 0.168 0.497 0.577
Ag 0.168 0.497 0.923
Ag 0.178 0.660 0.750
Ag 0.178 0.840 0.250
Ag 0.305 0.501 0.250
Ag 0.305 0.999 0.750
Ag 0.695 0.001 0.250
Ag 0.695 0.499 0.750
Ag 0.822 0.160 0.750
Ag 0.822 0.340 0.250
Ag 0.832 0.503 0.077
Ag 0.832 0.503 0.423
Ag 0.832 0.997 0.577
Ag 0.832 0.997 0.923
Mo 0.360 0.673 0.088
Mo 0.360 0.673 0.412
Mo 0.360 0.827 0.588
Mo 0.360 0.827 0.912
Mo 0.640 0.173 0.088
Mo 0.640 0.173 0.412
Mo 0.640 0.327 0.588
Mo 0.640 0.327 0.912
Se 0.245 0.136 0.250
Se 0.245 0.364 0.750
Se 0.330 0.139 0.601
Se 0.330 0.139 0.899
Se 0.330 0.361 0.101
Se 0.330 0.361 0.399
Se 0.670 0.639 0.601
Se 0.670 0.639 0.899
Se 0.670 0.861 0.101
Se 0.670 0.861 0.399
Se 0.755 0.636 0.250
Se 0.755 0.864 0.750
O 0.079 0.052 0.250
O 0.079 0.104 0.638
O 0.079 0.104 0.862
O 0.079 0.396 0.138
O 0.079 0.396 0.362
O 0.079 0.448 0.750
O 0.178 0.717 0.162
O 0.178 0.717 0.338
O 0.178 0.783 0.662
O 0.178 0.783 0.838
O 0.201 0.586 0.054
O 0.201 0.586 0.446
O 0.201 0.914 0.554
O 0.201 0.914 0.946
O 0.311 0.750 0.000
O 0.311 0.750 0.500
O 0.341 0.123 0.003
O 0.341 0.123 0.497
O 0.341 0.377 0.503
O 0.341 0.377 0.997
O 0.348 0.242 0.622
O 0.348 0.242 0.878
O 0.348 0.258 0.122
O 0.348 0.258 0.378
O 0.439 0.104 0.167
O 0.439 0.104 0.333
O 0.439 0.396 0.667
O 0.439 0.396 0.833
O 0.453 0.589 0.649
O 0.453 0.589 0.851
O 0.453 0.911 0.149
O 0.453 0.911 0.351
O 0.547 0.089 0.649
O 0.547 0.089 0.851
O 0.547 0.411 0.149
O 0.547 0.411 0.351
O 0.561 0.604 0.167
O 0.561 0.604 0.333
O 0.561 0.896 0.667
O 0.561 0.896 0.833
O 0.652 0.742 0.622
O 0.652 0.742 0.878
O 0.652 0.758 0.122
O 0.652 0.758 0.378
O 0.659 0.623 0.003
O 0.659 0.623 0.497
O 0.659 0.877 0.503
O 0.659 0.877 0.997
O 0.689 0.250 0.000
O 0.689 0.250 0.500
O 0.799 0.086 0.054
O 0.799 0.086 0.446
O 0.799 0.414 0.554
O 0.799 0.414 0.946
O 0.822 0.217 0.162
O 0.822 0.217 0.338
O 0.822 0.283 0.662
O 0.822 0.283 0.838
O 0.921 0.552 0.250
O 0.921 0.604 0.638
O 0.921 0.604 0.862
O 0.921 0.896 0.138
O 0.921 0.896 0.362
O 0.921 0.948 0.750

Output
Space-group type ... No. 57



No. 10
MoO2: optimized geometry, PBE+U.

a = 6.290 Å, b = 6.323 Å, c = 6.407 Å
α = 91.55°, β = 117.79°, γ = 119.47°
Sites, in units of the cell vectors:
Mo 0.000 0.000 0.000
Mo 0.000 0.000 0.500
Mo 0.500 0.000 0.000
Mo 0.500 0.500 0.000
O 0.030 0.808 0.781
O 0.050 0.241 0.793
O 0.452 0.222 0.194
O 0.470 0.230 0.783
O 0.530 0.770 0.217
O 0.548 0.778 0.806
O 0.950 0.759 0.207
O 0.970 0.192 0.219

Output
Space-group type ... No. 2



No. 11
NaFeO2: optimized geometry, PBE+U.

a = 5.794 Å, b = 7.263 Å, c = 5.436 Å
α = 90.00°, β = 90.00°, γ = 90.00°
Sites, in units of the cell vectors:
Na 0.073 0.122 0.000
Na 0.427 0.622 0.500
Na 0.573 0.378 0.000
Na 0.927 0.878 0.500
Fe 0.067 0.627 0.987
Fe 0.433 0.127 0.487
Fe 0.567 0.873 0.987
Fe 0.933 0.373 0.487
O 0.047 0.592 0.638
O 0.113 0.161 0.568
O 0.387 0.661 0.068
O 0.453 0.092 0.138
O 0.547 0.908 0.638
O 0.613 0.339 0.568
O 0.887 0.839 0.068
O 0.953 0.408 0.138

Output
Space-group type ... No. 33



No. 12
V3BO6: optimized geometry, PBE+U.

a = 10.313 Å, b = 8.718 Å, c = 4.493 Å
α = 90.00°, β = 90.00°, γ = 90.00°
Sites, in units of the cell vectors:
V 0.094 0.250 0.032
V 0.129 0.570 0.521
V 0.129 0.930 0.521
V 0.371 0.070 0.021
V 0.371 0.430 0.021
V 0.406 0.750 0.532
V 0.594 0.250 0.468
V 0.629 0.570 0.979
V 0.629 0.930 0.979
V 0.871 0.070 0.479
V 0.871 0.430 0.479
V 0.906 0.750 0.968
B 0.219 0.750 0.091
B 0.281 0.250 0.591
B 0.719 0.750 0.409
B 0.781 0.250 0.909
O 0.031 0.082 0.265
O 0.031 0.418 0.265
O 0.086 0.750 0.227
O 0.215 0.112 0.732
O 0.215 0.388 0.732
O 0.222 0.750 0.769
O 0.278 0.250 0.269
O 0.285 0.612 0.232
O 0.285 0.888 0.232
O 0.414 0.250 0.727
O 0.469 0.582 0.765
O 0.469 0.918 0.765
O 0.531 0.082 0.235
O 0.531 0.418 0.235
O 0.586 0.750 0.273
O 0.715 0.112 0.768
O 0.715 0.388 0.768
O 0.722 0.750 0.731
O 0.778 0.250 0.231
O 0.785 0.612 0.268
O 0.785 0.888 0.268
O 0.914 0.250 0.773
O 0.969 0.582 0.735
O 0.969 0.918 0.735

Output
Space-group type ... No. 62



| no. | total energy (eV per atom) | energy relative to the elements (meV/atom) |
| --- | --- | --- |
| 1 | -6.87 | -2685 |
| 2 | -7.58 | -2641 |
| 3 | -6.66 | -1530 |
| 4 | -6.95 | -2656 |
| 5 | -4.90 | -1561 |
| 6 | -7.23 | -2240 |
| 7 | -6.82 | -1949 |
| 8 | -6.51 | -2611 |
| 9 | -5.44 | -1229 |
| 10 | -7.15 | -1766 |
| 11 | -5.77 | -1753 |
| 12 | -8.06 | -2624 |